# V4AgO10

A geometry-optimized V4AgO10 structure (PBE with a Hubbard U, the Materials Project).

a b c (Å): 6.191 6.191 9.179
angles (deg): 91.34 91.34 34.66
Positions (direct):
1 V 0.000 0.000 0.000
2 V 0.543 0.543 0.328
3 V 0.706 0.706 0.999
4 V 0.839 0.839 0.329
5 Ag 0.391 0.391 0.681
6 O 0.012 0.012 0.281
7 O 0.168 0.168 0.029
8 O 0.373 0.373 0.300
9 O 0.531 0.531 0.046
10 O 0.556 0.556 0.504
11 O 0.692 0.692 0.271
12 O 0.721 0.721 0.823
13 O 0.836 0.836 0.510
14 O 0.848 0.848 0.069
15 O 0.971 0.971 0.821

Properties
- ΔH_f (0 K): -2.121 eV per atom